VASP calculation (GGA-PBE) on a geometry-optimized Nb5Si6Mo5 structure.

a b c (Å): 5.0463 7.4048 7.3982
angles (deg): 96.46 109.94 70.08
Last column: nearest neighbours and their distance in Å.
Fractional coordinates of all 16 atoms:
1 Nb 0.2779 0.2983 0.8541  4 Si 2.57-2.65, 1 Mo 2.84
2 Nb 0.7771 0.1464 0.7005  6 Si 2.59-2.89, 1 Mo 2.84
3 Nb 0.2243 0.8520 0.3006  6 Si 2.58-2.87, 1 Mo 2.80
4 Nb 0.2506 0.4999 0.5006  2 Nb 2.52-2.53, 4 Si 2.66-2.68
5 Nb 0.7501 0.4999 0.5006  2 Nb 2.52-2.53, 4 Si 2.66-2.68
6 Si 0.2542 0.9967 0.0012  2 Si 2.50-2.54, 5 Mo 2.60-2.65, 3 Nb 2.64-2.66
7 Si 0.7503 0.9967 0.0012  2 Si 2.50-2.54, 5 Mo 2.60-2.65, 3 Nb 2.64-2.66
8 Si 0.3301 0.5018 0.1619  2 Mo 2.57-2.62, 4 Nb 2.57-2.67
9 Si 0.6687 0.5039 0.8413  3 Mo 2.53-2.62, 3 Nb 2.68
10 Si 0.8306 0.8356 0.4968  5 Nb 2.59-2.87, 3 Mo 2.60-2.64
11 Si 0.1678 0.1636 0.4991  2 Mo 2.57-2.62, 4 Nb 2.58-2.66
12 Mo 0.4241 0.8545 0.7027  4 Si 2.57-2.62, 1 Nb 2.80
13 Mo 0.5718 0.1483 0.2919  6 Si 2.60-2.91, 1 Nb 2.84, 2 Mo 2.91
14 Mo 0.9250 0.2963 0.1463  4 Si 2.56-2.65, 1 Mo 2.81
15 Mo 0.0740 0.7060 0.8539  4 Si 2.57-2.64, 1 Nb 2.84
16 Mo 0.7236 0.7001 0.1474  4 Si 2.53-2.62, 1 Mo 2.81

Calculated values
Crystal system: monoclinic
Total magnetization in μB/cell: 0.002
Electronic total energy in eV/atom: -9.077